## Mn3O5F (PBE+U)

Data for Mn3O5F after structural relaxation.

The structure in POSCAR format:
```
Mn3O5F
1.0
4.5473 0.0000 0.0000
0.0000 3.0071 0.0000
-0.5128 0.0000 13.6371
Mn O F
6 10 2
direct
0.0000 0.0000 0.0000 Mn
0.0195 0.0000 0.6599 Mn
0.4795 0.5000 0.8397 Mn
0.5000 0.5000 0.5000 Mn
0.5205 0.5000 0.1603 Mn
0.9805 0.0000 0.3401 Mn
0.1941 0.5000 0.0660 O
0.1947 0.5000 0.3972 O
0.1957 0.5000 0.7312 O
0.3001 0.0000 0.8997 O
0.3096 0.0000 0.5639 O
0.6904 0.0000 0.4361 O
0.6999 0.0000 0.1003 O
0.8043 0.5000 0.2688 O
0.8053 0.5000 0.6028 O
0.8059 0.5000 0.9340 O
0.3016 0.0000 0.2327 F
0.6984 0.0000 0.7673 F
```

Output
offset from the most stable computed form = 2 meV/atom
E = -6.9751 eV/atom